{"formula": "PBr2N", "functional": "GGA-PBE", "state": "optimized geometry", "formation_enthalpy_0k_ev_per_atom": -0.4152, "crystal_system": "tetragonal", "lattice": [[11.919, 0.000, 0.000], [0.000, 11.919, 0.000], [0.000, 0.000, 6.785]], "species": ["P", "P", "P", "P", "P", "P", "P", "P", "Br", "Br", "Br", "Br", "Br", "Br", "Br", "Br", "Br", "Br", "Br", "Br", "Br", "Br", "Br", "Br", "N", "N", "N", "N", "N", "N", "N", "N"], "fractional_positions": [[0.088, 0.207, 0.199], [0.207, 0.412, 0.301], [0.293, 0.088, 0.301], [0.412, 0.293, 0.199], [0.588, 0.707, 0.801], [0.707, 0.912, 0.699], [0.793, 0.588, 0.699], [0.912, 0.793, 0.801], [0.059, 0.151, 0.893], [0.079, 0.806, 0.664], [0.151, 0.441, 0.607], [0.194, 0.579, 0.164], [0.306, 0.921, 0.164], [0.349, 0.059, 0.607], [0.421, 0.694, 0.664], [0.441, 0.349, 0.893], [0.559, 0.651, 0.107], [0.579, 0.306, 0.336], [0.651, 0.941, 0.393], [0.694, 0.079, 0.836], [0.806, 0.421, 0.836], [0.849, 0.559, 0.393], [0.921, 0.194, 0.336], [0.941, 0.849, 0.107], [0.122, 0.336, 0.181], [0.164, 0.122, 0.319], [0.336, 0.378, 0.319], [0.378, 0.164, 0.181], [0.622, 0.836, 0.819], [0.664, 0.622, 0.681], [0.836, 0.878, 0.681], [0.878, 0.664, 0.819]]}



{"formula": "PBr2N", "functional": "GGA-PBE", "state": "optimized geometry", "formation_enthalpy_0k_ev_per_atom": -0.4112, "m_tot_mub_per_fu": 0.000, "crystal_system": "orthorhombic", "lattice": [[15.246, 0.000, 0.000], [0.000, 14.310, 0.000], [0.000, 0.000, 7.016]], "species": ["P", "P", "P", "P", "P", "P", "P", "P", "P", "P", "P", "P", "Br", "Br", "Br", "Br", "Br", "Br", "Br", "Br", "Br", "Br", "Br", "Br", "Br", "Br", "Br", "Br", "Br", "Br", "Br", "Br", "Br", "Br", "Br", "Br", "N", "N", "N", "N", "N", "N", "N", "N", "N", "N", "N", "N"], "fractional_positions": [[0.056, 0.250, 0.080], [0.089, 0.653, 0.057], [0.089, 0.847, 0.057], [0.411, 0.153, 0.557], [0.411, 0.347, 0.557], [0.444, 0.750, 0.580], [0.556, 0.250, 0.420], [0.589, 0.653, 0.443], [0.589, 0.847, 0.443], [0.911, 0.153, 0.943], [0.911, 0.347, 0.943], [0.944, 0.750, 0.920], [0.081, 0.578, 0.332], [0.081, 0.922, 0.332], [0.102, 0.250, 0.376], [0.176, 0.562, 0.889], [0.176, 0.938, 0.889], [0.180, 0.250, 0.917], [0.320, 0.750, 0.417], [0.324, 0.062, 0.389], [0.324, 0.438, 0.389], [0.398, 0.750, 0.876], [0.419, 0.078, 0.832], [0.419, 0.422, 0.832], [0.581, 0.578, 0.168], [0.581, 0.922, 0.168], [0.602, 0.250, 0.124], [0.676, 0.562, 0.611], [0.676, 0.938, 0.611], [0.680, 0.250, 0.583], [0.820, 0.750, 0.083], [0.824, 0.062, 0.111], [0.824, 0.438, 0.111], [0.898, 0.750, 0.624], [0.919, 0.078, 0.668], [0.919, 0.422, 0.668], [0.005, 0.154, 0.040], [0.005, 0.346, 0.040], [0.139, 0.750, 0.092], [0.361, 0.250, 0.592], [0.495, 0.654, 0.540], [0.495, 0.846, 0.540], [0.505, 0.154, 0.460], [0.505, 0.346, 0.460], [0.639, 0.750, 0.408], [0.861, 0.250, 0.908], [0.995, 0.654, 0.960], [0.995, 0.846, 0.960]]}



{"formula": "PBr2N", "functional": "GGA-PBE", "state": "optimized geometry", "formation_enthalpy_0k_ev_per_atom": -0.4148, "m_tot_mub_per_fu": 0.000, "crystal_system": "triclinic", "lattice": [[9.667, 0.000, 0.000], [-0.627, 10.569, 0.000], [-4.643, -2.653, 11.052]], "species": ["P", "P", "P", "P", "P", "P", "P", "P", "P", "P", "Br", "Br", "Br", "Br", "Br", "Br", "Br", "Br", "Br", "Br", "Br", "Br", "Br", "Br", "Br", "Br", "Br", "Br", "Br", "Br", "N", "N", "N", "N", "N", "N", "N", "N", "N", "N"], "fractional_positions": [[0.115, 0.313, 0.403], [0.152, 0.476, 0.248], [0.192, 0.044, 0.337], [0.305, 0.011, 0.145], [0.333, 0.295, 0.169], [0.667, 0.705, 0.831], [0.695, 0.989, 0.855], [0.808, 0.956, 0.663], [0.848, 0.524, 0.752], [0.885, 0.687, 0.597], [0.027, 0.087, 0.741], [0.072, 0.482, 0.864], [0.130, 0.724, 0.638], [0.144, 0.861, 0.992], [0.221, 0.352, 0.603], [0.298, 0.665, 0.302], [0.302, 0.010, 0.520], [0.461, 0.379, 0.077], [0.473, 0.046, 0.844], [0.493, 0.666, 0.641], [0.507, 0.334, 0.359], [0.527, 0.954, 0.156], [0.539, 0.621, 0.923], [0.698, 0.990, 0.480], [0.702, 0.335, 0.698], [0.779, 0.648, 0.397], [0.856, 0.139, 0.008], [0.870, 0.276, 0.362], [0.928, 0.518, 0.136], [0.973, 0.913, 0.259], [0.151, 0.445, 0.370], [0.167, 0.190, 0.342], [0.193, 0.371, 0.159], [0.286, 0.145, 0.106], [0.295, 0.994, 0.267], [0.705, 0.006, 0.733], [0.714, 0.855, 0.894], [0.807, 0.629, 0.841], [0.833, 0.810, 0.658], [0.849, 0.555, 0.630]]}



{"formula": "Pb2Br5N", "functional": "GGA-PBE", "state": "optimized geometry", "formation_enthalpy_0k_ev_per_atom": 0.0146, "m_tot_mub_per_fu": 2.006, "crystal_system": "tetragonal", "lattice": [[-4.242, 4.242, 7.230], [4.242, -4.242, 7.230], [4.242, 4.242, -7.230]], "species": ["Pb", "Pb", "Pb", "Pb", "Br", "Br", "Br", "Br", "Br", "Br", "Br", "Br", "Br", "Br", "N", "N"], "fractional_positions": [[0.171, 0.671, 0.843], [0.329, 0.171, 0.500], [0.671, 0.829, 0.500], [0.829, 0.329, 0.157], [0.000, 0.000, 0.000], [0.009, 0.227, 0.500], [0.227, 0.727, 0.219], [0.273, 0.491, 0.500], [0.491, 0.991, 0.219], [0.500, 0.500, 0.000], [0.509, 0.009, 0.781], [0.727, 0.509, 0.500], [0.773, 0.273, 0.781], [0.991, 0.773, 0.500], [0.250, 0.250, 0.000], [0.750, 0.750, 0.000]]}



{"formula": "PdBr6N2", "functional": "GGA-PBE", "state": "optimized geometry", "formation_enthalpy_0k_ev_per_atom": 1.5726, "m_tot_mub_per_fu": 0.001, "crystal_system": "cubic", "lattice": [[0.000, 5.167, 5.167], [5.167, 0.000, 5.167], [5.167, 5.167, 0.000]], "species": ["Pd", "Br", "Br", "Br", "Br", "Br", "Br", "N", "N"], "fractional_positions": [[0.000, 0.000, 0.000], [0.239, 0.239, 0.761], [0.239, 0.761, 0.239], [0.239, 0.761, 0.761], [0.761, 0.239, 0.239], [0.761, 0.239, 0.761], [0.761, 0.761, 0.239], [0.250, 0.250, 0.250], [0.750, 0.750, 0.750]]}



{"formula": "Pr6S4BrN3", "functional": "GGA-PBE", "state": "optimized geometry", "formation_enthalpy_0k_ev_per_atom": -2.0271, "m_tot_mub_per_fu": 0.000, "crystal_system": "orthorhombic", "lattice": [[11.611, 0.000, 0.000], [0.000, 4.069, 0.000], [0.000, 0.000, 27.607]], "species": ["Pr", "Pr", "Pr", "Pr", "Pr", "Pr", "Pr", "Pr", "Pr", "Pr", "Pr", "Pr", "Pr", "Pr", "Pr", "Pr", "Pr", "Pr", "Pr", "Pr", "Pr", "Pr", "Pr", "Pr", "S", "S", "S", "S", "S", "S", "S", "S", "S", "S", "S", "S", "S", "S", "S", "S", "Br", "Br", "Br", "Br", "N", "N", "N", "N", "N", "N", "N", "N", "N", "N", "N", "N"], "fractional_positions": [[0.059, 0.250, 0.078], [0.061, 0.250, 0.808], [0.100, 0.250, 0.536], [0.126, 0.250, 0.283], [0.245, 0.750, 0.171], [0.248, 0.750, 0.436], [0.252, 0.250, 0.936], [0.255, 0.250, 0.671], [0.374, 0.750, 0.783], [0.400, 0.750, 0.036], [0.439, 0.750, 0.308], [0.441, 0.750, 0.578], [0.559, 0.250, 0.422], [0.561, 0.250, 0.692], [0.600, 0.250, 0.964], [0.626, 0.250, 0.217], [0.745, 0.750, 0.329], [0.748, 0.750, 0.064], [0.752, 0.250, 0.564], [0.755, 0.250, 0.829], [0.874, 0.750, 0.717], [0.900, 0.750, 0.464], [0.939, 0.750, 0.192], [0.941, 0.750, 0.922], [0.135, 0.750, 0.736], [0.144, 0.750, 0.994], [0.190, 0.750, 0.862], [0.206, 0.750, 0.603], [0.294, 0.250, 0.103], [0.310, 0.250, 0.362], [0.356, 0.250, 0.494], [0.365, 0.250, 0.236], [0.635, 0.750, 0.764], [0.644, 0.750, 0.506], [0.690, 0.750, 0.638], [0.706, 0.750, 0.897], [0.794, 0.250, 0.397], [0.810, 0.250, 0.138], [0.856, 0.250, 0.006], [0.865, 0.250, 0.264], [0.039, 0.750, 0.363], [0.461, 0.250, 0.863], [0.539, 0.750, 0.137], [0.961, 0.250, 0.637], [0.062, 0.750, 0.125], [0.098, 0.750, 0.486], [0.114, 0.750, 0.238], [0.386, 0.250, 0.738], [0.402, 0.250, 0.986], [0.438, 0.250, 0.625], [0.562, 0.750, 0.375], [0.598, 0.750, 0.014], [0.614, 0.750, 0.262], [0.886, 0.250, 0.762], [0.902, 0.250, 0.514], [0.938, 0.250, 0.875]]}



{"formula": "PtBr6N4", "functional": "GGA-PBE", "state": "optimized geometry", "formation_enthalpy_0k_ev_per_atom": 1.2394, "m_tot_mub_per_fu": 0.000, "crystal_system": "orthorhombic", "lattice": [[0.000, 5.558, 5.958], [4.755, 0.000, 5.958], [4.755, 5.558, 0.000]], "species": ["Pt", "Br", "Br", "Br", "Br", "Br", "Br", "N", "N", "N", "N"], "fractional_positions": [[0.000, 0.000, 0.000], [0.130, 0.130, 0.370], [0.216, 0.216, 0.784], [0.272, 0.728, 0.728], [0.370, 0.370, 0.130], [0.728, 0.272, 0.272], [0.784, 0.784, 0.216], [0.133, 0.367, 0.133], [0.165, 0.835, 0.165], [0.367, 0.133, 0.367], [0.835, 0.165, 0.835]]}



{"formula": "Re3Br10N", "functional": "GGA-PBE", "state": "optimized geometry", "formation_enthalpy_0k_ev_per_atom": 0.0041, "m_tot_mub_per_fu": 0.064, "crystal_system": "monoclinic", "lattice": [[7.387, -5.505, 0.000], [7.387, 5.505, 0.000], [-0.490, 0.000, 10.409]], "species": ["Re", "Re", "Re", "Re", "Re", "Re", "Br", "Br", "Br", "Br", "Br", "Br", "Br", "Br", "Br", "Br", "Br", "Br", "Br", "Br", "Br", "Br", "Br", "Br", "Br", "Br", "N", "N"], "fractional_positions": [[0.086, 0.311, 0.370], [0.263, 0.263, 0.188], [0.311, 0.086, 0.370], [0.689, 0.914, 0.630], [0.737, 0.737, 0.812], [0.914, 0.689, 0.630], [0.031, 0.496, 0.187], [0.112, 0.798, 0.710], [0.129, 0.129, 0.036], [0.140, 0.140, 0.563], [0.179, 0.502, 0.506], [0.202, 0.888, 0.290], [0.344, 0.344, 0.960], [0.424, 0.424, 0.258], [0.496, 0.031, 0.187], [0.498, 0.821, 0.494], [0.502, 0.179, 0.506], [0.504, 0.969, 0.813], [0.576, 0.576, 0.742], [0.656, 0.656, 0.040], [0.798, 0.112, 0.710], [0.821, 0.498, 0.494], [0.860, 0.860, 0.437], [0.871, 0.871, 0.964], [0.888, 0.202, 0.290], [0.969, 0.504, 0.813], [0.291, 0.709, 0.000], [0.709, 0.291, 0.000]]}



{"formula": "ReBr6N2", "functional": "GGA-PBE", "state": "optimized geometry", "formation_enthalpy_0k_ev_per_atom": 0.9004, "m_tot_mub_per_fu": 4.997, "crystal_system": "cubic", "lattice": [[0.000, 5.171, 5.171], [5.171, 0.000, 5.171], [5.171, 5.171, 0.000]], "species": ["Re", "Br", "Br", "Br", "Br", "Br", "Br", "N", "N"], "fractional_positions": [[0.000, 0.000, 0.000], [0.238, 0.238, 0.762], [0.238, 0.762, 0.238], [0.238, 0.762, 0.762], [0.762, 0.238, 0.238], [0.762, 0.238, 0.762], [0.762, 0.762, 0.238], [0.250, 0.250, 0.250], [0.750, 0.750, 0.750]]}



{"formula": "VS2Br2N3", "functional": "GGA-PBE", "state": "optimized geometry", "formation_enthalpy_0k_ev_per_atom": -0.2806, "m_tot_mub_per_fu": 0.000, "crystal_system": "triclinic", "lattice": [[6.057, 0.000, 0.000], [2.437, 7.481, 0.000], [1.394, -0.129, 8.188]], "species": ["V", "V", "S", "S", "S", "S", "Br", "Br", "Br", "Br", "N", "N", "N", "N", "N", "N"], "fractional_positions": [[0.241, 0.497, 0.365], [0.759, 0.503, 0.635], [0.213, 0.209, 0.702], [0.222, 0.766, 0.082], [0.778, 0.234, 0.918], [0.787, 0.791, 0.298], [0.264, 0.222, 0.231], [0.337, 0.701, 0.563], [0.663, 0.299, 0.437], [0.736, 0.778, 0.769], [0.055, 0.150, 0.852], [0.071, 0.375, 0.606], [0.334, 0.606, 0.194], [0.666, 0.394, 0.806], [0.929, 0.625, 0.394], [0.945, 0.850, 0.148]]}



{"formula": "Se2Br3N", "functional": "GGA-PBE", "state": "optimized geometry", "formation_enthalpy_0k_ev_per_atom": 0.0891, "m_tot_mub_per_fu": 0.000, "crystal_system": "orthorhombic", "lattice": [[14.837, 0.000, 0.000], [0.000, 8.737, 0.000], [0.000, 0.000, 12.767]], "species": ["Se", "Se", "Se", "Se", "Se", "Se", "Se", "Se", "Se", "Se", "Se", "Se", "Se", "Se", "Se", "Se", "Br", "Br", "Br", "Br", "Br", "Br", "Br", "Br", "Br", "Br", "Br", "Br", "Br", "Br", "Br", "Br", "Br", "Br", "Br", "Br", "Br", "Br", "Br", "Br", "N", "N", "N", "N", "N", "N", "N", "N"], "fractional_positions": [[0.037, 0.156, 0.000], [0.110, 0.511, 0.718], [0.127, 0.982, 0.391], [0.134, 0.652, 0.934], [0.366, 0.652, 0.434], [0.373, 0.982, 0.891], [0.390, 0.511, 0.218], [0.463, 0.156, 0.500], [0.537, 0.844, 0.000], [0.610, 0.489, 0.718], [0.627, 0.018, 0.391], [0.634, 0.348, 0.934], [0.866, 0.348, 0.434], [0.873, 0.018, 0.891], [0.890, 0.489, 0.218], [0.963, 0.844, 0.500], [0.087, 0.243, 0.683], [0.105, 0.671, 0.438], [0.138, 0.499, 0.097], [0.138, 0.821, 0.757], [0.149, 0.249, 0.355], [0.164, 0.003, 0.066], [0.336, 0.003, 0.566], [0.351, 0.249, 0.855], [0.362, 0.499, 0.597], [0.362, 0.821, 0.257], [0.395, 0.671, 0.938], [0.413, 0.243, 0.183], [0.587, 0.757, 0.683], [0.605, 0.329, 0.438], [0.638, 0.179, 0.757], [0.638, 0.501, 0.097], [0.649, 0.751, 0.355], [0.664, 0.997, 0.066], [0.836, 0.997, 0.566], [0.851, 0.751, 0.855], [0.862, 0.179, 0.257], [0.862, 0.501, 0.597], [0.895, 0.329, 0.938], [0.913, 0.757, 0.183], [0.021, 0.007, 0.452], [0.117, 0.488, 0.855], [0.383, 0.488, 0.355], [0.479, 0.007, 0.952], [0.521, 0.993, 0.452], [0.617, 0.512, 0.855], [0.883, 0.512, 0.355], [0.979, 0.993, 0.952]]}



{"formula": "SeBr6N2", "functional": "GGA-PBE", "state": "optimized geometry", "formation_enthalpy_0k_ev_per_atom": 1.1726, "m_tot_mub_per_fu": 6.357, "crystal_system": "cubic", "lattice": [[0.000, 5.145, 5.145], [5.145, 0.000, 5.145], [5.145, 5.145, 0.000]], "species": ["Se", "Br", "Br", "Br", "Br", "Br", "Br", "N", "N"], "fractional_positions": [[0.000, 0.000, 0.000], [0.250, 0.250, 0.750], [0.250, 0.750, 0.250], [0.250, 0.750, 0.750], [0.750, 0.250, 0.250], [0.750, 0.250, 0.750], [0.750, 0.750, 0.250], [0.250, 0.250, 0.250], [0.750, 0.750, 0.750]]}



{"formula": "TcBr6N2", "functional": "GGA-PBE", "state": "optimized geometry", "formation_enthalpy_0k_ev_per_atom": 0.9290, "m_tot_mub_per_fu": 4.708, "crystal_system": "cubic", "lattice": [[0.000, 5.158, 5.158], [5.158, 0.000, 5.158], [5.158, 5.158, 0.000]], "species": ["Tc", "Br", "Br", "Br", "Br", "Br", "Br", "N", "N"], "fractional_positions": [[0.000, 0.000, 0.000], [0.239, 0.239, 0.761], [0.239, 0.761, 0.239], [0.239, 0.761, 0.761], [0.761, 0.239, 0.239], [0.761, 0.239, 0.761], [0.761, 0.761, 0.239], [0.250, 0.250, 0.250], [0.750, 0.750, 0.750]]}



| no. | electronic total energy (eV/atom) |
| --- | --- |
| 1 | -4.5809 |
| 2 | -4.5769 |
| 3 | -4.5804 |
| 4 | -2.9336 |
| 5 | -1.8666 |
| 6 | -6.9402 |
| 7 | -3.1056 |
| 8 | -4.4015 |
| 9 | -3.3460 |
| 10 | -5.8503 |
| 11 | -3.2240 |
| 12 | -2.0794 |
| 13 | -3.0858 |